# K2ZnH12Se2O14

K2ZnH12Se2O14 after structural relaxation (PBE, Materials Project).

abc: 12.574 6.370 9.265
angles: 75.98 90.00 90.00
Fractional positions:
K  0.159  0.658  0.638
K  0.659  0.342  0.862
K  0.841  0.342  0.362
K  0.341  0.658  0.138
Zn  0.500  0.000  0.500
Zn  0.000  0.000  0.000
H  0.415  0.685  0.710
H  0.915  0.315  0.790
H  0.585  0.315  0.290
H  0.085  0.685  0.210
H  0.374  0.904  0.746
H  0.874  0.096  0.754
H  0.626  0.096  0.254
H  0.126  0.904  0.246
H  0.401  0.068  0.235
H  0.901  0.932  0.265
H  0.599  0.932  0.765
H  0.099  0.068  0.735
H  0.315  0.986  0.361
H  0.815  0.014  0.139
H  0.685  0.014  0.639
H  0.185  0.986  0.861
H  0.555  0.665  0.403
H  0.055  0.335  0.097
H  0.445  0.335  0.597
H  0.945  0.665  0.903
H  0.639  0.666  0.531
H  0.139  0.334  0.969
H  0.361  0.334  0.469
H  0.861  0.666  0.031
Se  0.364  0.272  0.913
Se  0.864  0.728  0.587
Se  0.636  0.728  0.087
Se  0.136  0.272  0.413
O  0.259  0.436  0.909
O  0.759  0.564  0.591
O  0.741  0.564  0.091
O  0.241  0.436  0.409
O  0.428  0.246  0.074
O  0.928  0.754  0.426
O  0.572  0.754  0.926
O  0.072  0.246  0.574
O  0.446  0.390  0.773
O  0.946  0.610  0.727
O  0.554  0.610  0.227
O  0.054  0.390  0.273
O  0.323  0.028  0.892
O  0.823  0.972  0.608
O  0.677  0.972  0.108
O  0.177  0.028  0.392
O  0.387  0.832  0.664
O  0.887  0.168  0.836
O  0.613  0.168  0.336
O  0.113  0.832  0.164
O  0.388  0.958  0.331
O  0.888  0.042  0.169
O  0.612  0.042  0.669
O  0.112  0.958  0.831
O  0.564  0.703  0.500
O  0.064  0.297  0.000
O  0.436  0.297  0.500
O  0.936  0.703  0.000

Results
ΔH_f (0 K) in eV/atom: -1.4271
Total moment in μB per atom: 0.000
Total energy in eV/cell: -310.2
Calculated density in Mg/m³: 2.48



# KSr4Si8H17O29

KSr4Si8H17O29 after structural relaxation (PBE, Materials Project).

abc: 9.258 9.258 16.477
angles: 90.00 90.00 90.00
Fractional positions:
K  0.000  0.000  0.500
K  0.500  0.500  0.000
Sr  0.391  0.239  0.502
Sr  0.609  0.761  0.502
Sr  0.109  0.739  0.002
Sr  0.891  0.261  0.002
Sr  0.239  0.609  0.502
Sr  0.761  0.391  0.502
Sr  0.739  0.891  0.002
Sr  0.261  0.109  0.002
Si  0.594  0.281  0.308
Si  0.406  0.719  0.308
Si  0.906  0.781  0.808
Si  0.094  0.219  0.808
Si  0.281  0.406  0.308
Si  0.719  0.594  0.308
Si  0.781  0.094  0.808
Si  0.219  0.906  0.808
Si  0.407  0.719  0.692
Si  0.593  0.281  0.692
Si  0.093  0.219  0.192
Si  0.907  0.781  0.192
Si  0.719  0.593  0.692
Si  0.281  0.407  0.692
Si  0.219  0.907  0.192
Si  0.781  0.093  0.192
H  0.672  0.074  0.410
H  0.328  0.926  0.410
H  0.828  0.574  0.910
H  0.172  0.426  0.910
H  0.074  0.328  0.410
H  0.926  0.672  0.410
H  0.574  0.172  0.910
H  0.426  0.828  0.910
H  0.327  0.926  0.591
H  0.673  0.074  0.591
H  0.173  0.426  0.091
H  0.827  0.574  0.091
H  0.926  0.673  0.591
H  0.074  0.327  0.591
H  0.426  0.827  0.091
H  0.574  0.173  0.091
H  0.267  0.048  0.647
H  0.733  0.952  0.647
H  0.233  0.548  0.147
H  0.767  0.452  0.147
H  0.048  0.733  0.647
H  0.952  0.267  0.647
H  0.548  0.767  0.147
H  0.452  0.233  0.147
H  0.732  0.952  0.354
H  0.268  0.048  0.354
H  0.768  0.452  0.854
H  0.232  0.548  0.854
H  0.952  0.268  0.354
H  0.048  0.732  0.354
H  0.452  0.232  0.854
H  0.548  0.768  0.854
H  0.500  0.500  0.438
H  0.000  0.000  0.938
O  0.282  0.026  0.589
O  0.718  0.974  0.589
O  0.218  0.526  0.089
O  0.782  0.474  0.089
O  0.026  0.718  0.589
O  0.974  0.282  0.589
O  0.526  0.782  0.089
O  0.474  0.218  0.089
O  0.717  0.974  0.411
O  0.283  0.026  0.411
O  0.783  0.474  0.911
O  0.217  0.526  0.911
O  0.974  0.283  0.411
O  0.026  0.717  0.411
O  0.474  0.217  0.911
O  0.526  0.783  0.911
O  0.424  0.311  0.281
O  0.576  0.689  0.281
O  0.076  0.811  0.781
O  0.924  0.189  0.781
O  0.311  0.576  0.281
O  0.689  0.424  0.281
O  0.811  0.924  0.781
O  0.189  0.076  0.781
O  0.576  0.689  0.719
O  0.424  0.311  0.719
O  0.924  0.189  0.219
O  0.076  0.811  0.219
O  0.689  0.424  0.719
O  0.311  0.576  0.719
O  0.189  0.076  0.219
O  0.811  0.924  0.219
O  0.648  0.148  0.251
O  0.352  0.852  0.251
O  0.852  0.648  0.751
O  0.148  0.352  0.751
O  0.148  0.352  0.251
O  0.852  0.648  0.251
O  0.648  0.148  0.751
O  0.352  0.852  0.751
O  0.607  0.242  0.403
O  0.393  0.758  0.403
O  0.893  0.742  0.903
O  0.107  0.258  0.903
O  0.242  0.393  0.403
O  0.758  0.607  0.403
O  0.742  0.107  0.903
O  0.258  0.893  0.903
O  0.392  0.762  0.598
O  0.608  0.238  0.598
O  0.108  0.262  0.098
O  0.892  0.738  0.098
O  0.762  0.608  0.598
O  0.238  0.392  0.598
O  0.262  0.892  0.098
O  0.738  0.108  0.098
O  0.500  0.500  0.497
O  0.000  0.000  0.997

Results
ΔH_f (0 K) in eV/atom: -2.4317
Total moment in μB per atom: 0.003
Total energy in eV/cell: -752.0
Calculated density in Mg/m³: 2.58



# K3TbSi3H2O10

K3TbSi3H2O10 after structural relaxation (PBE, Materials Project).

abc: 5.968 13.316 13.773
angles: 90.00 90.00 90.00
Fractional positions:
K  0.424  0.128  0.750
K  0.086  0.138  0.516
K  0.086  0.138  0.984
K  0.586  0.362  0.484
K  0.586  0.362  0.016
K  0.924  0.372  0.250
K  0.076  0.628  0.750
K  0.414  0.638  0.516
K  0.414  0.638  0.984
K  0.914  0.862  0.016
K  0.914  0.862  0.484
K  0.576  0.872  0.250
Tb  0.086  0.041  0.250
Tb  0.586  0.459  0.750
Tb  0.414  0.541  0.250
Tb  0.914  0.959  0.750
Si  0.587  0.098  0.104
Si  0.587  0.098  0.396
Si  0.919  0.248  0.750
Si  0.419  0.252  0.250
Si  0.087  0.402  0.604
Si  0.087  0.402  0.896
Si  0.913  0.598  0.104
Si  0.913  0.598  0.396
Si  0.581  0.748  0.750
Si  0.081  0.752  0.250
Si  0.413  0.902  0.604
Si  0.413  0.902  0.896
H  0.610  0.071  0.560
H  0.610  0.071  0.940
H  0.110  0.429  0.060
H  0.110  0.429  0.440
H  0.890  0.571  0.940
H  0.890  0.571  0.560
H  0.390  0.929  0.060
H  0.390  0.929  0.440
O  0.369  0.029  0.131
O  0.369  0.029  0.369
O  0.823  0.044  0.130
O  0.823  0.044  0.370
O  0.934  0.127  0.750
O  0.585  0.130  0.515
O  0.585  0.130  0.985
O  0.170  0.205  0.250
O  0.566  0.212  0.154
O  0.566  0.212  0.346
O  0.066  0.288  0.654
O  0.066  0.288  0.846
O  0.670  0.295  0.750
O  0.085  0.370  0.485
O  0.085  0.370  0.015
O  0.434  0.373  0.250
O  0.323  0.456  0.630
O  0.323  0.456  0.870
O  0.869  0.471  0.631
O  0.869  0.471  0.869
O  0.131  0.529  0.131
O  0.131  0.529  0.369
O  0.677  0.544  0.130
O  0.677  0.544  0.370
O  0.566  0.627  0.750
O  0.915  0.630  0.985
O  0.915  0.630  0.515
O  0.330  0.705  0.250
O  0.934  0.712  0.154
O  0.934  0.712  0.346
O  0.434  0.788  0.654
O  0.434  0.788  0.846
O  0.830  0.795  0.750
O  0.415  0.870  0.015
O  0.415  0.870  0.485
O  0.066  0.873  0.250
O  0.177  0.956  0.630
O  0.177  0.956  0.870
O  0.631  0.971  0.631
O  0.631  0.971  0.869

Results
ΔH_f (0 K) in eV/atom: -2.8547
Total energy in eV/cell: -511.5
Calculated density in Mg/m³: 3.17



# K2TiSi3H2O10

K2TiSi3H2O10 after structural relaxation (PBE, Materials Project).

abc: 7.231 10.035 13.130
angles: 90.00 90.00 90.00
Fractional positions:
K  0.148  0.791  0.635
K  0.206  0.935  0.922
K  0.294  0.065  0.422
K  0.352  0.209  0.135
K  0.648  0.709  0.365
K  0.706  0.565  0.078
K  0.794  0.435  0.578
K  0.852  0.291  0.865
Ti  0.241  0.453  0.710
Ti  0.259  0.547  0.210
Ti  0.741  0.047  0.290
Ti  0.759  0.953  0.790
Si  0.008  0.822  0.175
Si  0.081  0.142  0.669
Si  0.232  0.537  0.952
Si  0.268  0.463  0.452
Si  0.419  0.858  0.169
Si  0.492  0.178  0.675
Si  0.508  0.678  0.825
Si  0.581  0.358  0.331
Si  0.732  0.963  0.048
Si  0.768  0.037  0.548
Si  0.919  0.642  0.831
Si  0.992  0.322  0.325
H  0.030  0.846  0.384
H  0.166  0.728  0.406
H  0.334  0.272  0.906
H  0.470  0.154  0.884
H  0.530  0.654  0.616
H  0.666  0.772  0.594
H  0.834  0.228  0.094
H  0.970  0.346  0.116
O  0.012  0.559  0.738
O  0.020  0.599  0.940
O  0.052  0.665  0.191
O  0.072  0.301  0.689
O  0.099  0.387  0.228
O  0.124  0.338  0.427
O  0.122  0.815  0.435
O  0.202  0.905  0.151
O  0.228  0.512  0.567
O  0.244  0.577  0.364
O  0.256  0.423  0.864
O  0.272  0.488  0.067
O  0.298  0.095  0.651
O  0.378  0.185  0.935
O  0.376  0.662  0.927
O  0.401  0.613  0.728
O  0.428  0.699  0.189
O  0.448  0.335  0.691
O  0.480  0.401  0.440
O  0.488  0.441  0.238
O  0.512  0.941  0.262
O  0.520  0.901  0.060
O  0.552  0.835  0.809
O  0.572  0.199  0.311
O  0.599  0.113  0.772
O  0.624  0.162  0.573
O  0.622  0.685  0.565
O  0.702  0.595  0.849
O  0.728  0.988  0.433
O  0.744  0.923  0.636
O  0.756  0.077  0.136
O  0.772  0.012  0.933
O  0.798  0.405  0.349
O  0.878  0.315  0.065
O  0.876  0.838  0.073
O  0.901  0.887  0.272
O  0.928  0.801  0.811
O  0.948  0.165  0.309
O  0.980  0.099  0.560
O  0.988  0.059  0.762

Results
ΔH_f (0 K) in eV/atom: -2.8373
Total moment in μB per atom: 0.000
Total energy in eV/cell: -507.4
Calculated density in Mg/m³: 2.60



Repeat the third record exactly.
# K3TbSi3H2O10

K3TbSi3H2O10 after structural relaxation (PBE, Materials Project).

abc: 5.968 13.316 13.773
angles: 90.00 90.00 90.00
Fractional positions:
K  0.424  0.128  0.750
K  0.086  0.138  0.516
K  0.086  0.138  0.984
K  0.586  0.362  0.484
K  0.586  0.362  0.016
K  0.924  0.372  0.250
K  0.076  0.628  0.750
K  0.414  0.638  0.516
K  0.414  0.638  0.984
K  0.914  0.862  0.016
K  0.914  0.862  0.484
K  0.576  0.872  0.250
Tb  0.086  0.041  0.250
Tb  0.586  0.459  0.750
Tb  0.414  0.541  0.250
Tb  0.914  0.959  0.750
Si  0.587  0.098  0.104
Si  0.587  0.098  0.396
Si  0.919  0.248  0.750
Si  0.419  0.252  0.250
Si  0.087  0.402  0.604
Si  0.087  0.402  0.896
Si  0.913  0.598  0.104
Si  0.913  0.598  0.396
Si  0.581  0.748  0.750
Si  0.081  0.752  0.250
Si  0.413  0.902  0.604
Si  0.413  0.902  0.896
H  0.610  0.071  0.560
H  0.610  0.071  0.940
H  0.110  0.429  0.060
H  0.110  0.429  0.440
H  0.890  0.571  0.940
H  0.890  0.571  0.560
H  0.390  0.929  0.060
H  0.390  0.929  0.440
O  0.369  0.029  0.131
O  0.369  0.029  0.369
O  0.823  0.044  0.130
O  0.823  0.044  0.370
O  0.934  0.127  0.750
O  0.585  0.130  0.515
O  0.585  0.130  0.985
O  0.170  0.205  0.250
O  0.566  0.212  0.154
O  0.566  0.212  0.346
O  0.066  0.288  0.654
O  0.066  0.288  0.846
O  0.670  0.295  0.750
O  0.085  0.370  0.485
O  0.085  0.370  0.015
O  0.434  0.373  0.250
O  0.323  0.456  0.630
O  0.323  0.456  0.870
O  0.869  0.471  0.631
O  0.869  0.471  0.869
O  0.131  0.529  0.131
O  0.131  0.529  0.369
O  0.677  0.544  0.130
O  0.677  0.544  0.370
O  0.566  0.627  0.750
O  0.915  0.630  0.985
O  0.915  0.630  0.515
O  0.330  0.705  0.250
O  0.934  0.712  0.154
O  0.934  0.712  0.346
O  0.434  0.788  0.654
O  0.434  0.788  0.846
O  0.830  0.795  0.750
O  0.415  0.870  0.015
O  0.415  0.870  0.485
O  0.066  0.873  0.250
O  0.177  0.956  0.630
O  0.177  0.956  0.870
O  0.631  0.971  0.631
O  0.631  0.971  0.869

Results
ΔH_f (0 K) in eV/atom: -2.8547
Total energy in eV/cell: -511.5
Calculated density in Mg/m³: 3.17



Q: Which of these has the highest calculated density?
A: K3TbSi3H2O10